Record 1
LiH2BrO5 (PBE-GGA, optimized geometry); E = -4.360 eV per atom; total moment = 0.000 μB/atom
1.0
8.923 -2.467 0.000
8.923 2.467 0.000
-0.497 0.000 11.157
Li H Br O
4 8 4 20
direct
0.000 0.500 0.500
0.037 0.963 0.750
0.500 0.000 0.000
0.963 0.037 0.250
0.106 0.128 0.631
0.128 0.106 0.131
0.136 0.501 0.035
0.499 0.864 0.465
0.501 0.136 0.535
0.864 0.499 0.965
0.872 0.894 0.869
0.894 0.872 0.369
0.342 0.377 0.240
0.377 0.342 0.740
0.623 0.658 0.260
0.658 0.623 0.760
0.033 0.763 0.925
0.136 0.693 0.211
0.177 0.432 0.345
0.221 0.359 0.089
0.237 0.967 0.575
0.251 0.638 0.853
0.307 0.864 0.289
0.359 0.221 0.589
0.362 0.749 0.647
0.432 0.177 0.845
0.568 0.823 0.155
0.638 0.251 0.353
0.641 0.779 0.411
0.693 0.136 0.711
0.749 0.362 0.147
0.763 0.033 0.425
0.779 0.641 0.911
0.823 0.568 0.655
0.864 0.307 0.789
0.967 0.237 0.075

Record 2
Cs2NaSbCl6 (PBE-GGA, optimized geometry); E = -3.383 eV per atom; total moment = 0.000 μB/atom
1.0
0.000 5.480 5.480
5.480 0.000 5.480
5.480 5.480 0.000
Cs Na Sb Cl
2 1 1 6
direct
0.250 0.250 0.250
0.750 0.750 0.750
0.000 0.000 0.000
0.500 0.500 0.500
0.257 0.257 0.743
0.257 0.743 0.257
0.257 0.743 0.743
0.743 0.257 0.257
0.743 0.257 0.743
0.743 0.743 0.257